This record from the Materials Project database describes a relaxed K3Yb crystal. The functional is r2SCAN.

Cell lengths 6.8969, 6.8969, 6.8969 Å; angles 60.00, 60.00, 60.00 degrees
Fractional positions:
K (0.5000, 0.5000, 0.5000)
K (0.2500, 0.2500, 0.2500)
K (0.7500, 0.7500, 0.7500)
Yb (0.0000, 0.0000, 0.0000)

Output
The crystal system is cubic. The value obtained for the energy of formation is 635 meV/atom. The space group is No. 225. The value obtained for the energy is -52.0 eV for the cell shown. Its calculated volume is 57.99 Å³/atom.

---

This record from the Materials Project database describes a relaxed PdF4 crystal. The functional is r2SCAN.

Cell lengths 5.4151, 5.4151, 5.5095 Å; angles 105.93, 105.93, 116.19 degrees
Fractional positions:
F (0.0458, 0.2691, 0.8123)
F (0.9712, 0.7486, 0.1852)
F (0.9835, 0.7069, 0.6877)
F (0.5360, 0.8135, 0.3148)
F (0.5635, 0.7860, 0.8148)
F (0.4569, 0.2335, 0.1877)
F (0.0191, 0.2958, 0.3123)
F (0.4986, 0.2212, 0.6852)
Pd (0.7397, 0.2397, 0.5000)
Pd (0.9897, 0.9897, 0.0000)

Output
The crystal system is orthorhombic. The value obtained for the energy of formation is -1321 meV/atom. The space group is No. 43. The value obtained for the energy is -84.1 eV for the cell shown. Its calculated volume is 12.39 Å³/atom.

---

This record from the Materials Project database describes a relaxed TbPS crystal. The functional is r2SCAN.

Cell lengths 5.3476, 5.3863, 16.7581 Å; angles 90.00, 90.00, 90.00 degrees
Fractional positions:
S (0.2500, 0.0109, 0.8161)
S (0.7500, 0.9891, 0.1839)
S (0.2500, 0.5109, 0.6839)
S (0.7500, 0.5150, 0.8111)
S (0.7500, 0.0150, 0.6889)
S (0.2500, 0.9850, 0.3111)
S (0.7500, 0.4891, 0.3161)
S (0.2500, 0.4850, 0.1889)
Tb (0.2500, 0.5147, 0.8531)
Tb (0.7500, 0.4853, 0.1469)
Tb (0.2500, 0.0147, 0.6469)
Tb (0.7500, 0.9853, 0.3531)
Tb (0.7500, 0.0164, 0.8619)
Tb (0.7500, 0.5164, 0.6381)
Tb (0.2500, 0.4836, 0.3619)
Tb (0.2500, 0.9836, 0.1381)
P (0.4600, 0.7969, 0.5028)
P (0.9600, 0.7031, 0.0028)
P (0.0400, 0.2969, 0.9972)
P (0.4600, 0.2969, 0.9972)
P (0.0400, 0.7969, 0.5028)
P (0.5400, 0.2031, 0.4972)
P (0.5400, 0.7031, 0.0028)
P (0.9600, 0.2031, 0.4972)

Output
The crystal system is orthorhombic. The value obtained for the energy of formation is -1803 meV/atom. The space group is No. 62. The value obtained for the energy is -429.4 eV for the cell shown. Its calculated volume is 20.11 Å³/atom.

---

This record from the Materials Project database describes a relaxed SrNb2O6 crystal. The functional is r2SCAN.

Cell lengths 5.6324, 7.7378, 11.1610 Å; angles 89.72, 90.00, 90.00 degrees
Fractional positions:
Nb (0.5255, 0.0095, 0.3559)
Nb (0.0319, 0.4778, 0.1430)
Nb (0.9681, 0.5222, 0.8570)
Nb (0.5319, 0.5222, 0.3570)
Nb (0.9745, 0.0095, 0.8559)
Nb (0.4745, 0.9905, 0.6441)
Nb (0.0255, 0.9905, 0.1441)
Nb (0.4681, 0.4778, 0.6430)
O (0.7796, 0.0351, 0.0261)
O (0.8532, 0.7521, 0.8720)
O (0.3532, 0.2479, 0.6280)
O (0.6356, 0.0505, 0.7885)
O (0.7204, 0.0351, 0.5261)
O (0.2788, 0.5347, 0.4741)
O (0.3593, 0.5533, 0.2123)
O (0.8644, 0.0505, 0.2885)
O (0.7212, 0.4653, 0.5259)
O (0.2796, 0.9649, 0.4739)
O (0.4662, 0.2517, 0.3541)
O (0.9662, 0.7483, 0.1459)
O (0.2212, 0.5347, 0.9741)
O (0.2204, 0.9649, 0.9739)
O (0.0338, 0.2517, 0.8541)
O (0.6468, 0.7521, 0.3720)
O (0.1356, 0.9495, 0.7115)
O (0.6407, 0.4467, 0.7877)
O (0.1407, 0.5533, 0.7123)
O (0.3644, 0.9495, 0.2115)
O (0.1468, 0.2479, 0.1280)
O (0.8593, 0.4467, 0.2877)
O (0.5338, 0.7483, 0.6459)
O (0.7788, 0.4653, 0.0259)
Sr (0.9646, 0.7501, 0.5394)
Sr (0.5354, 0.7501, 0.0394)
Sr (0.0354, 0.2499, 0.4606)
Sr (0.4646, 0.2499, 0.9606)

Output
The crystal system is monoclinic. The value obtained for the energy of formation is -3010 meV/atom. The space group is No. 14. The value obtained for the energy is -510.2 eV for the cell shown. Its calculated volume is 13.51 Å³/atom.

---

This record from the Materials Project database describes a relaxed Ba3Ho4O9 crystal. The functional is r2SCAN.

Cell lengths 9.1359, 9.1359, 9.1359 Å; angles 38.86, 38.86, 38.86 degrees
Fractional positions:
Ho (0.7003, 0.7003, 0.7003)
Ho (0.5753, 0.5753, 0.5753)
Ho (0.1364, 0.1364, 0.1364)
Ho (0.2619, 0.2619, 0.2619)
O (0.4228, 0.9597, 0.5391)
O (0.3084, 0.8728, 0.4032)
O (0.8624, 0.9733, 0.4200)
O (0.5391, 0.4228, 0.9597)
O (0.4032, 0.3084, 0.8728)
O (0.8728, 0.4032, 0.3084)
O (0.4200, 0.8624, 0.9733)
O (0.9597, 0.5391, 0.4228)
O (0.9733, 0.4200, 0.8624)
Ba (0.4232, 0.4232, 0.4232)
Ba (0.0010, 0.0010, 0.0010)
Ba (0.8365, 0.8365, 0.8365)

Output
The crystal system is trigonal. The value obtained for the energy of formation is -3489 meV/atom. The space group is No. 146. The value obtained for the energy is -320.6 eV for the cell shown. Its calculated volume is 16.87 Å³/atom.

---

This record from the Materials Project database describes a relaxed VCrO4 crystal. The functional is r2SCAN.

Cell lengths 4.9715, 4.9715, 6.0328 Å; angles 90.00, 90.00, 111.97 degrees
Fractional positions:
O (0.7646, 0.2354, 0.0290)
O (0.7646, 0.2354, 0.4710)
O (0.2129, 0.2538, 0.7500)
O (0.7871, 0.7462, 0.2500)
O (0.2354, 0.7646, 0.9710)
O (0.2354, 0.7646, 0.5290)
O (0.2538, 0.2129, 0.2500)
O (0.7462, 0.7871, 0.7500)
V (0.6433, 0.3567, 0.2500)
V (0.3567, 0.6433, 0.7500)
Cr (0.0000, 0.0000, 0.0000)
Cr (0.0000, 0.0000, 0.5000)

Output
The crystal system is orthorhombic. The value obtained for the energy of formation is -2468 meV/atom. The space group is No. 63. The value obtained for the energy is -135.7 eV for the cell shown. Its calculated volume is 11.52 Å³/atom.

---

This record from the Materials Project database describes a relaxed NpPt3 crystal. The functional is r2SCAN.

Cell lengths 5.8511, 5.8514, 9.6308 Å; angles 89.96, 89.94, 120.07 degrees
Fractional positions:
Np (0.0000, 0.0000, 0.0000)
Np (0.3333, 0.6667, 0.2500)
Np (0.0000, 0.0000, 0.5000)
Np (0.6667, 0.3333, 0.7500)
Pt (0.5000, 0.0000, 0.0000)
Pt (0.8273, 0.6546, 0.2500)
Pt (0.0000, 0.5000, 0.5000)
Pt (0.5000, 0.5000, 0.5000)
Pt (0.0000, 0.5000, 0.0000)
Pt (0.5000, 0.0000, 0.5000)
Pt (0.8270, 0.1730, 0.2500)
Pt (0.1727, 0.3454, 0.7500)
Pt (0.3454, 0.1727, 0.2500)
Pt (0.5000, 0.5000, 0.0000)
Pt (0.1730, 0.8270, 0.7500)
Pt (0.6546, 0.8273, 0.7500)

Output
The crystal system is monoclinic. The value obtained for the energy of formation is -942 meV/atom. The space group is No. 15. The value obtained for the energy is -965.0 eV for the cell shown. Its calculated volume is 17.83 Å³/atom.

---

This record from the Materials Project database describes a relaxed BaCd2As2 crystal. The functional is r2SCAN.

Cell lengths 4.5605, 4.5605, 7.7563 Å; angles 90.00, 90.00, 120.00 degrees
Fractional positions:
Ba (0.0000, 0.0000, 0.0000)
Cd (0.3333, 0.6667, 0.6290)
Cd (0.6667, 0.3333, 0.3710)
As (0.6667, 0.3333, 0.7352)
As (0.3333, 0.6667, 0.2648)

Output
The crystal system is trigonal. The value obtained for the energy of formation is -769 meV/atom. The space group is No. 164. The value obtained for the energy is -100.0 eV for the cell shown. Its calculated volume is 27.94 Å³/atom.